[1]
# Ba2LiMn2O6 (PBE with a Hubbard U, relaxed)
# formation enthalpy at 0 K: -2.37 eV per atom
# energy above the most stable polymorph in this dataset: 0 meV/atom
# DFT total energy: -72.32 eV/cell
# spin magnetization: 7.00 Bohr magnetons per cell
data_Ba2LiMn2O6
_chemical_formula_sum 'Ba2 Li1 Mn2 O6'
_cell_length_a 5.258
_cell_length_b 5.644
_cell_length_c 6.236
_cell_angle_alpha 116.81
_cell_angle_beta 105.33
_cell_angle_gamma 90.14
_space_group_name_H-M_alt 'P 1'
_space_group_IT_number 1
_space_group_name_Hall 'P 1'
loop_
_atom_site_label
_atom_site_type_symbol
_atom_site_fract_x
_atom_site_fract_y
_atom_site_fract_z
Ba1 Ba 0.192 0.193 0.387
Ba2 Ba 0.808 0.807 0.613
Li1 Li 0.500 0.000 0.000
Mn1 Mn 0.000 0.500 0.000
Mn2 Mn 0.500 0.500 0.000
O1 O 0.233 0.659 0.846
O2 O 0.234 0.186 0.846
O3 O 0.325 0.636 0.273
O4 O 0.675 0.364 0.727
O5 O 0.766 0.814 0.154
O6 O 0.767 0.341 0.154


[2]
# Mg3Fe4Mo6O24 (PBE with a Hubbard U, relaxed)
# formation enthalpy at 0 K: -2.06 eV per atom
# DFT total energy: -254.06 eV/cell
# spin magnetization: 18.00 Bohr magnetons per cell
data_Mg3Fe4Mo6O24
_chemical_formula_sum 'Mg3 Fe4 Mo6 O24'
_cell_length_a 7.031
_cell_length_b 8.467
_cell_length_c 10.346
_cell_angle_alpha 104.39
_cell_angle_beta 104.88
_cell_angle_gamma 101.52
_space_group_name_H-M_alt 'P 1'
_space_group_IT_number 1
_space_group_name_Hall 'P 1'
loop_
_atom_site_label
_atom_site_type_symbol
_atom_site_fract_x
_atom_site_fract_y
_atom_site_fract_z
Mg1 Mg 0.000 0.000 0.000
Mg2 Mg 0.272 0.773 0.287
Mg3 Mg 0.728 0.227 0.713
Fe1 Fe 0.046 0.698 0.510
Fe2 Fe 0.379 0.457 0.105
Fe3 Fe 0.621 0.543 0.895
Fe4 Fe 0.954 0.302 0.490
Mo1 Mo 0.103 0.600 0.834
Mo2 Mo 0.220 0.153 0.768
Mo3 Mo 0.405 0.221 0.377
Mo4 Mo 0.595 0.779 0.623
Mo5 Mo 0.780 0.847 0.232
Mo6 Mo 0.897 0.400 0.166
O1 O 0.012 0.224 0.675
O2 O 0.071 0.547 0.642
O3 O 0.110 0.811 0.932
O4 O 0.144 0.535 0.158
O5 O 0.172 0.937 0.675
O6 O 0.205 0.173 0.944
O7 O 0.237 0.284 0.466
O8 O 0.284 0.004 0.263
O9 O 0.334 0.532 0.918
O10 O 0.354 0.759 0.488
O11 O 0.440 0.349 0.268
O12 O 0.470 0.259 0.767
O13 O 0.530 0.741 0.233
O14 O 0.560 0.651 0.732
O15 O 0.646 0.241 0.512
O16 O 0.666 0.468 0.082
O17 O 0.716 0.996 0.737
O18 O 0.763 0.716 0.534
O19 O 0.795 0.827 0.056
O20 O 0.828 0.063 0.325
O21 O 0.856 0.465 0.842
O22 O 0.890 0.189 0.068
O23 O 0.929 0.453 0.358
O24 O 0.988 0.776 0.325


[3]
# Mg3Ta6Fe4O24 (PBE with a Hubbard U, relaxed)
# formation enthalpy at 0 K: -2.80 eV per atom
# DFT total energy: -306.56 eV/cell
# spin magnetization: 0.00 Bohr magnetons per cell
data_Mg3Ta6Fe4O24
_chemical_formula_sum 'Mg3 Ta6 Fe4 O24'
_cell_length_a 7.038
_cell_length_b 8.261
_cell_length_c 10.245
_cell_angle_alpha 106.25
_cell_angle_beta 103.21
_cell_angle_gamma 102.58
_space_group_name_H-M_alt 'P 1'
_space_group_IT_number 1
_space_group_name_Hall 'P 1'
loop_
_atom_site_label
_atom_site_type_symbol
_atom_site_fract_x
_atom_site_fract_y
_atom_site_fract_z
Mg1 Mg 0.000 0.000 0.000
Mg2 Mg 0.277 0.778 0.293
Mg3 Mg 0.723 0.222 0.707
Ta1 Ta 0.105 0.587 0.830
Ta2 Ta 0.222 0.173 0.773
Ta3 Ta 0.407 0.231 0.379
Ta4 Ta 0.593 0.769 0.621
Ta5 Ta 0.778 0.827 0.227
Ta6 Ta 0.895 0.413 0.170
Fe1 Fe 0.044 0.708 0.513
Fe2 Fe 0.379 0.453 0.108
Fe3 Fe 0.621 0.547 0.892
Fe4 Fe 0.956 0.292 0.487
O1 O 0.018 0.259 0.682
O2 O 0.072 0.563 0.637
O3 O 0.124 0.815 0.919
O4 O 0.140 0.529 0.147
O5 O 0.161 0.941 0.666
O6 O 0.214 0.198 0.962
O7 O 0.232 0.293 0.480
O8 O 0.272 0.000 0.258
O9 O 0.336 0.523 0.922
O10 O 0.341 0.753 0.489
O11 O 0.438 0.365 0.262
O12 O 0.486 0.277 0.773
O13 O 0.514 0.723 0.227
O14 O 0.562 0.635 0.738
O15 O 0.659 0.247 0.511
O16 O 0.664 0.477 0.078
O17 O 0.728 0.000 0.742
O18 O 0.768 0.707 0.520
O19 O 0.786 0.802 0.038
O20 O 0.839 0.059 0.334
O21 O 0.860 0.471 0.853
O22 O 0.876 0.185 0.081
O23 O 0.928 0.437 0.363
O24 O 0.982 0.741 0.318


[4]
# V8ZnO24 (PBE with a Hubbard U, relaxed)
# formation enthalpy at 0 K: -1.83 eV per atom
# DFT total energy: -445.71 eV/cell
# spin magnetization: 9.76 Bohr magnetons per cell
data_V8ZnO24
_chemical_formula_sum 'V16 Zn2 O48'
_cell_length_a 8.014
_cell_length_b 10.707
_cell_length_c 12.036
_cell_angle_alpha 89.29
_cell_angle_beta 89.41
_cell_angle_gamma 89.80
_space_group_name_H-M_alt 'P 1'
_space_group_IT_number 1
_space_group_name_Hall 'P 1'
loop_
_atom_site_label
_atom_site_type_symbol
_atom_site_fract_x
_atom_site_fract_y
_atom_site_fract_z
V1 V 0.024 0.025 0.160
V2 V 0.037 0.586 0.143
V3 V 0.160 0.313 0.148
V4 V 0.226 0.701 0.858
V5 V 0.278 0.201 0.859
V6 V 0.336 0.813 0.147
V7 V 0.460 0.086 0.141
V8 V 0.470 0.526 0.160
V9 V 0.530 0.474 0.840
V10 V 0.540 0.914 0.859
V11 V 0.664 0.187 0.853
V12 V 0.722 0.799 0.141
V13 V 0.774 0.299 0.142
V14 V 0.840 0.687 0.852
V15 V 0.963 0.414 0.857
V16 V 0.976 0.975 0.840
Zn1 Zn 0.000 0.000 0.500
Zn2 Zn 0.500 0.500 0.500
O1 O 0.007 0.013 0.294
O2 O 0.011 0.178 0.508
O3 O 0.021 0.811 0.878
O4 O 0.032 0.600 0.274
O5 O 0.040 0.582 0.887
O6 O 0.122 0.076 0.899
O7 O 0.148 0.333 0.906
O8 O 0.177 0.297 0.279
O9 O 0.183 0.711 0.088
O10 O 0.223 0.061 0.507
O11 O 0.238 0.976 0.123
O12 O 0.247 0.704 0.726
O13 O 0.258 0.476 0.124
O14 O 0.263 0.204 0.727
O15 O 0.272 0.451 0.509
O16 O 0.315 0.211 0.088
O17 O 0.315 0.799 0.279
O18 O 0.353 0.833 0.907
O19 O 0.381 0.576 0.900
O20 O 0.461 0.099 0.273
O21 O 0.464 0.082 0.889
O22 O 0.471 0.324 0.496
O23 O 0.483 0.311 0.878
O24 O 0.485 0.512 0.293
O25 O 0.515 0.488 0.707
O26 O 0.517 0.689 0.122
O27 O 0.529 0.676 0.504
O28 O 0.536 0.918 0.111
O29 O 0.539 0.901 0.727
O30 O 0.619 0.424 0.100
O31 O 0.647 0.167 0.093
O32 O 0.685 0.201 0.721
O33 O 0.685 0.789 0.912
O34 O 0.728 0.549 0.491
O35 O 0.737 0.796 0.273
O36 O 0.742 0.524 0.876
O37 O 0.753 0.296 0.274
O38 O 0.762 0.024 0.877
O39 O 0.777 0.939 0.493
O40 O 0.817 0.289 0.912
O41 O 0.823 0.703 0.721
O42 O 0.852 0.667 0.094
O43 O 0.878 0.924 0.101
O44 O 0.960 0.418 0.113
O45 O 0.968 0.400 0.726
O46 O 0.979 0.189 0.122
O47 O 0.989 0.822 0.492
O48 O 0.993 0.987 0.706


[5]
# SrLaNiO4 (PBE with a Hubbard U, relaxed)
# formation enthalpy at 0 K: -2.67 eV per atom
# energy above the most stable polymorph in this dataset: 0 meV/atom
# DFT total energy: -91.18 eV/cell
# spin magnetization: 2.01 Bohr magnetons per cell
data_SrLaNiO4
_chemical_formula_sum 'Sr2 La2 Ni2 O8'
_cell_length_a 3.864
_cell_length_b 3.864
_cell_length_c 12.473
_cell_angle_alpha 90.00
_cell_angle_beta 90.00
_cell_angle_gamma 90.00
_space_group_name_H-M_alt 'P 1'
_space_group_IT_number 1
_space_group_name_Hall 'P 1'
loop_
_atom_site_label
_atom_site_type_symbol
_atom_site_fract_x
_atom_site_fract_y
_atom_site_fract_z
Sr1 Sr 0.000 0.000 0.000
Sr2 Sr 0.500 0.500 0.500
La1 La 0.000 0.000 0.279
La2 La 0.500 0.500 0.779
Ni1 Ni 0.000 0.000 0.637
Ni2 Ni 0.500 0.500 0.137
O1 O 0.000 0.000 0.469
O2 O 0.000 0.000 0.803
O3 O 0.000 0.500 0.146
O4 O 0.000 0.500 0.646
O5 O 0.500 0.000 0.146
O6 O 0.500 0.000 0.646
O7 O 0.500 0.500 0.303
O8 O 0.500 0.500 0.969


[6]
# Ca2Mn2O5 (PBE with a Hubbard U, relaxed)
# formation enthalpy at 0 K: -2.47 eV per atom
# energy above the most stable polymorph in this dataset: 104 meV/atom
# DFT total energy: -250.22 eV/cell
# spin magnetization: 32.00 Bohr magnetons per cell
data_Ca2Mn2O5
_chemical_formula_sum 'Ca8 Mn8 O20'
_cell_length_a 7.858
_cell_length_b 7.858
_cell_length_c 7.666
_cell_angle_alpha 92.32
_cell_angle_beta 92.32
_cell_angle_gamma 90.05
_space_group_name_H-M_alt 'P 1'
_space_group_IT_number 1
_space_group_name_Hall 'P 1'
loop_
_atom_site_label
_atom_site_type_symbol
_atom_site_fract_x
_atom_site_fract_y
_atom_site_fract_z
Ca1 Ca 0.000 0.000 0.000
Ca2 Ca 0.001 0.521 0.007
Ca3 Ca 0.003 0.529 0.453
Ca4 Ca 0.510 0.510 0.025
Ca5 Ca 0.521 0.001 0.007
Ca6 Ca 0.526 0.526 0.494
Ca7 Ca 0.529 0.003 0.453
Ca8 Ca 0.984 0.984 0.437
Mn1 Mn 0.233 0.233 0.750
Mn2 Mn 0.250 0.250 0.282
Mn3 Mn 0.252 0.743 0.244
Mn4 Mn 0.252 0.764 0.759
Mn5 Mn 0.743 0.252 0.244
Mn6 Mn 0.749 0.749 0.243
Mn7 Mn 0.753 0.753 0.746
Mn8 Mn 0.764 0.252 0.759
O1 O 0.021 0.268 0.843
O2 O 0.224 0.743 0.506
O3 O 0.235 0.490 0.244
O4 O 0.243 0.998 0.268
O5 O 0.263 0.673 0.985
O6 O 0.268 0.021 0.843
O7 O 0.322 0.322 0.555
O8 O 0.490 0.235 0.244
O9 O 0.504 0.742 0.759
O10 O 0.507 0.752 0.242
O11 O 0.673 0.263 0.985
O12 O 0.742 0.504 0.759
O13 O 0.743 0.224 0.506
O14 O 0.749 0.999 0.794
O15 O 0.752 0.507 0.242
O16 O 0.752 0.990 0.214
O17 O 0.768 0.768 0.496
O18 O 0.990 0.752 0.214
O19 O 0.998 0.243 0.268
O20 O 0.999 0.749 0.794


[7]
# Li3V3P8O29 (PBE with a Hubbard U, relaxed)
# formation enthalpy at 0 K: -2.52 eV per atom
# energy above the most stable polymorph in this dataset: 16 meV/atom
# DFT total energy: -605.96 eV/cell
# spin magnetization: 0.00 Bohr magnetons per cell
data_Li3V3P8O29
_chemical_formula_sum 'Li6 V6 P16 O58'
_cell_length_a 9.780
_cell_length_b 9.781
_cell_length_c 14.150
_cell_angle_alpha 89.62
_cell_angle_beta 89.65
_cell_angle_gamma 60.14
_space_group_name_H-M_alt 'P 1'
_space_group_IT_number 1
_space_group_name_Hall 'P 1'
loop_
_atom_site_label
_atom_site_type_symbol
_atom_site_fract_x
_atom_site_fract_y
_atom_site_fract_z
Li1 Li 0.000 0.000 0.000
Li2 Li 0.001 0.595 0.501
Li3 Li 0.142 0.990 0.500
Li4 Li 0.321 0.362 0.616
Li5 Li 0.538 0.592 0.002
Li6 Li 0.920 0.762 0.117
V1 V 0.222 0.250 0.819
V2 V 0.229 0.113 0.302
V3 V 0.659 0.249 0.312
V4 V 0.659 0.683 0.803
V5 V 0.789 0.680 0.311
V6 V 0.791 0.113 0.802
P1 P 0.000 0.590 0.718
P2 P 0.141 0.454 0.215
P3 P 0.142 0.002 0.717
P4 P 0.313 0.361 0.398
P5 P 0.315 0.907 0.898
P6 P 0.452 0.768 0.401
P7 P 0.460 0.364 0.901
P8 P 0.542 0.452 0.716
P9 P 0.544 0.592 0.218
P10 P 0.554 0.019 0.688
P11 P 0.566 0.013 0.189
P12 P 0.886 0.347 0.929
P13 P 0.899 0.343 0.428
P14 P 0.907 0.770 0.899
P15 P 0.911 0.910 0.400
P16 P 0.993 0.000 0.217
O1 O 0.012 0.885 0.303
O2 O 0.018 0.680 0.809
O3 O 0.040 0.346 0.885
O4 O 0.047 0.194 0.386
O5 O 0.133 0.298 0.236
O6 O 0.135 0.160 0.741
O7 O 0.139 0.023 0.224
O8 O 0.147 0.423 0.724
O9 O 0.215 0.936 0.625
O10 O 0.219 0.475 0.311
O11 O 0.220 0.917 0.982
O12 O 0.228 0.434 0.489
O13 O 0.228 0.444 0.128
O14 O 0.239 0.885 0.802
O15 O 0.309 0.938 0.395
O16 O 0.318 0.335 0.893
O17 O 0.321 0.201 0.379
O18 O 0.325 0.061 0.883
O19 O 0.407 0.168 0.728
O20 O 0.415 0.015 0.233
O21 O 0.431 0.688 0.305
O22 O 0.436 0.472 0.808
O23 O 0.462 0.443 0.630
O24 O 0.466 0.680 0.488
O25 O 0.467 0.445 0.986
O26 O 0.481 0.338 0.393
O27 O 0.481 0.669 0.126
O28 O 0.484 0.762 0.897
O29 O 0.560 0.866 0.733
O30 O 0.563 0.015 0.583
O31 O 0.567 0.158 0.236
O32 O 0.569 0.424 0.229
O33 O 0.571 0.594 0.724
O34 O 0.572 0.009 0.085
O35 O 0.607 0.776 0.379
O36 O 0.612 0.204 0.880
O37 O 0.704 0.298 0.734
O38 O 0.705 0.017 0.733
O39 O 0.706 0.583 0.240
O40 O 0.716 0.861 0.231
O41 O 0.739 0.497 0.887
O42 O 0.748 0.775 0.877
O43 O 0.751 0.063 0.384
O44 O 0.751 0.342 0.384
O45 O 0.843 0.159 0.235
O46 O 0.846 0.582 0.738
O47 O 0.885 0.938 0.893
O48 O 0.887 0.764 0.399
O49 O 0.892 0.346 0.034
O50 O 0.893 0.195 0.889
O51 O 0.898 0.496 0.387
O52 O 0.901 0.344 0.533
O53 O 0.970 0.598 0.221
O54 O 0.973 0.026 0.729
O55 O 0.977 0.691 0.990
O56 O 0.985 0.926 0.127
O57 O 0.990 0.670 0.627
O58 O 0.999 0.916 0.483


[8]
# CoTeO4 (PBE with a Hubbard U, relaxed)
# formation enthalpy at 0 K: -1.45 eV per atom
# energy above the most stable polymorph in this dataset: 0 meV/atom
# DFT total energy: -137.53 eV/cell
data_CoTeO4
_chemical_formula_sum 'Co4 Te4 O16'
_cell_length_a 4.737
_cell_length_b 10.493
_cell_length_c 5.648
_cell_angle_alpha 83.28
_cell_angle_beta 90.00
_cell_angle_gamma 90.00
_space_group_name_H-M_alt 'P 1'
_space_group_IT_number 1
_space_group_name_Hall 'P 1'
loop_
_atom_site_label
_atom_site_type_symbol
_atom_site_fract_x
_atom_site_fract_y
_atom_site_fract_z
Co1 Co 0.500 0.625 0.124
O1 O 0.217 0.301 0.119
Co2 Co 0.000 0.125 0.124
Co3 Co 0.500 0.125 0.624
Te1 Te 0.500 0.375 0.875
O2 O 0.320 0.038 0.351
O3 O 0.180 0.038 0.851
O4 O 0.283 0.801 0.119
Co4 Co 0.000 0.625 0.624
Te2 Te 0.000 0.875 0.875
O5 O 0.783 0.449 0.631
O6 O 0.821 0.712 0.899
O7 O 0.783 0.949 0.131
O8 O 0.717 0.449 0.131
O9 O 0.180 0.538 0.351
O10 O 0.717 0.949 0.631
O11 O 0.217 0.801 0.619
O12 O 0.679 0.712 0.399
O13 O 0.283 0.301 0.619
O14 O 0.320 0.538 0.851
Te3 Te 0.500 0.875 0.375
O15 O 0.679 0.212 0.899
Te4 Te 0.000 0.375 0.375
O16 O 0.821 0.212 0.399


[9]
# FeC2O6 (PBE with a Hubbard U, relaxed)
# formation enthalpy at 0 K: -0.94 eV per atom
# energy above the most stable polymorph in this dataset: 646 meV/atom
# DFT total energy: -234.73 eV/cell
# spin magnetization: 24.00 Bohr magnetons per cell
data_FeC2O6
_chemical_formula_sum 'Fe4 C8 O24'
_cell_length_a 6.379
_cell_length_b 6.379
_cell_length_c 16.176
_cell_angle_alpha 90.00
_cell_angle_beta 90.00
_cell_angle_gamma 129.74
_space_group_name_H-M_alt 'P 1'
_space_group_IT_number 1
_space_group_name_Hall 'P 1'
loop_
_atom_site_label
_atom_site_type_symbol
_atom_site_fract_x
_atom_site_fract_y
_atom_site_fract_z
Fe1 Fe 0.000 0.000 0.250
Fe2 Fe 0.000 0.000 0.750
Fe3 Fe 0.000 0.500 0.000
Fe4 Fe 0.500 0.000 0.500
C1 C 0.000 0.500 0.451
C2 C 0.000 0.500 0.549
C3 C 0.500 0.000 0.049
C4 C 0.500 0.000 0.951
C5 C 0.500 0.500 0.202
C6 C 0.500 0.500 0.298
C7 C 0.500 0.500 0.702
C8 C 0.500 0.500 0.798
O1 O 0.150 0.349 0.000
O2 O 0.155 0.845 0.250
O3 O 0.155 0.845 0.750
O4 O 0.208 0.708 0.416
O5 O 0.208 0.708 0.584
O6 O 0.289 0.296 0.334
O7 O 0.289 0.296 0.666
O8 O 0.292 0.792 0.084
O9 O 0.292 0.792 0.916
O10 O 0.296 0.289 0.166
O11 O 0.296 0.289 0.834
O12 O 0.349 0.150 0.500
O13 O 0.651 0.850 0.500
O14 O 0.704 0.711 0.166
O15 O 0.704 0.711 0.834
O16 O 0.708 0.208 0.084
O17 O 0.708 0.208 0.916
O18 O 0.711 0.704 0.334
O19 O 0.711 0.704 0.666
O20 O 0.792 0.292 0.416
O21 O 0.792 0.292 0.584
O22 O 0.845 0.155 0.250
O23 O 0.845 0.155 0.750
O24 O 0.850 0.651 0.000